A relaxed structure of Rb3CuO2, computed with r²SCAN.

Computed properties:
ΔH_f (0 K) (eV/atom): -1.14
Magnetization (μB/f.u.): 0.00
E_tot (eV/cell): -285.8

extended XYZ file:
```
24
Lattice="6.7278 0.0000 0.0000 0.0000 9.6728 0.0000 -3.5171 0.0000 8.7270" Properties=species:S:1:pos:R:3 pbc="T T T"
Rb 0.2775 0.2353 3.2723
Rb -1.4810 4.6011 7.6358
Rb -1.7904 0.3318 8.6848
Rb -0.0318 4.5046 4.3213
Rb 1.0817 6.8567 1.6340
Rb -0.6768 7.6525 5.9975
Rb 3.8876 2.0203 2.7295
Rb 2.1291 2.8161 7.0930
Rb 3.2426 5.1682 4.4057
Rb 5.0012 9.3410 0.0422
Rb 4.6918 5.0717 1.0912
Rb 2.9333 9.4375 5.4547
Cu -0.9619 1.7324 5.8686
Cu 0.7966 3.1040 1.5051
Cu 2.4142 6.5688 7.2219
Cu 4.1727 7.9403 2.8584
O -1.2769 6.7603 3.3057
O -3.0354 7.7488 7.6692
O 0.3591 0.5928 6.3028
O 2.1177 4.2436 1.9393
O 1.0931 5.4292 6.7877
O 2.8517 9.0800 2.4242
O 6.2462 1.9239 1.0578
O 4.4877 2.9125 5.4213
```

A relaxed structure of YbCd2In, computed with r²SCAN.

Computed properties:
ΔH_f (0 K) (eV/atom): -0.21
Magnetization (μB/f.u.): 0.00
E_tot (eV/cell): -100.2

extended XYZ file:
```
4
Lattice="0.0000 3.5780 3.5780 3.5780 0.0000 3.5780 3.5780 3.5780 0.0000" Properties=species:S:1:pos:R:3 pbc="T T T"
Yb 0.0000 0.0000 0.0000
Cd 1.7890 1.7890 1.7890
Cd 5.3670 5.3670 5.3670
In 3.5780 3.5780 3.5780
```

A relaxed structure of Cs2AgAsBr6, computed with r²SCAN.

Computed properties:
ΔH_f (0 K) (eV/atom): -1.15
Magnetization (μB/f.u.): 0.00
E_tot (eV/cell): -177.4

extended XYZ file:
```
10
Lattice="0.0000 5.4822 5.4822 5.4822 0.0000 5.4822 5.4822 5.4822 0.0000" Properties=species:S:1:pos:R:3 pbc="T T T"
Cs 2.7411 2.7411 2.7411
Cs 8.2233 8.2233 8.2233
Ag 0.0000 0.0000 0.0000
As 5.4822 5.4822 5.4822
Br 5.4822 5.4822 2.8156
Br 5.4822 2.8156 5.4822
Br 8.1487 5.4822 5.4822
Br 2.8156 5.4822 5.4822
Br 5.4822 8.1487 5.4822
Br 5.4822 5.4822 8.1487
```

A relaxed structure of VCrO3, computed with r²SCAN.

Computed properties:
ΔH_f (0 K) (eV/atom): -2.51
Magnetization (μB/f.u.): 5.00
E_tot (eV/cell): -119.2

extended XYZ file:
```
10
Lattice="2.5150 1.4520 4.5500 -2.5150 1.4520 4.5500 0.0000 -2.9041 4.5500" Properties=species:S:1:pos:R:3 pbc="T T T"
V 0.0000 0.0000 0.0000
V 0.0000 0.0000 6.8250
Cr 0.0000 0.0000 2.7463
Cr 0.0000 0.0000 9.5713
O -1.7630 0.1173 5.9385
O -0.7520 -1.3347 8.2135
O 0.7799 -1.5854 5.9385
O -0.7799 1.3186 8.2135
O 0.9831 1.4681 5.9385
O 1.5319 0.0161 8.2135
```

A relaxed structure of Ca3Tl4O9, computed with r²SCAN.

Computed properties:
ΔH_f (0 K) (eV/atom): -1.72
Magnetization (μB/f.u.): 0.00
E_tot (eV/cell): -315.2

extended XYZ file:
```
16
Lattice="5.5944 -1.6791 0.0000 5.5944 1.6791 0.0000 -2.7540 0.0000 11.9962" Properties=species:S:1:pos:R:3 pbc="T T T"
Ca 0.0000 0.0000 0.0000
Ca -0.4938 0.0000 6.9307
Ca 8.4285 0.0000 1.9478
Tl 2.3710 0.0000 5.0075
Tl 2.4419 0.0000 8.7344
Tl 5.4037 0.0000 3.4642
Tl 5.4626 0.0000 10.2312
O -1.6356 0.0000 9.3649
O 1.4499 0.0000 2.9564
O 1.5298 0.0000 10.7114
O 4.4732 0.0000 1.5578
O 3.4730 0.0000 6.8385
O 7.1939 0.0000 0.0645
O 6.3305 0.0000 5.4264
O 6.3837 0.0000 8.2561
O 9.4235 0.0000 4.2199
```

A relaxed structure of Cs2LiTmCl6, computed with r²SCAN.

Computed properties:
ΔH_f (0 K) (eV/atom): -2.39
Magnetization (μB/f.u.): 0.00
E_tot (eV/cell): -148.5

extended XYZ file:
```
10
Lattice="0.0000 5.2086 5.2086 5.2086 0.0000 5.2086 5.2086 5.2086 0.0000" Properties=species:S:1:pos:R:3 pbc="T T T"
Cs 2.6043 2.6043 2.6043
Cs 7.8128 7.8128 7.8128
Li 0.0000 0.0000 0.0000
Tm 5.2086 5.2086 5.2086
Cl 5.2086 5.2086 2.6142
Cl 5.2086 2.6142 5.2086
Cl 7.8029 5.2086 5.2086
Cl 2.6142 5.2086 5.2086
Cl 5.2086 7.8029 5.2086
Cl 5.2086 5.2086 7.8029
```

A relaxed structure of TaPO5, computed with r²SCAN.

Computed properties:
ΔH_f (0 K) (eV/atom): -2.83
Magnetization (μB/f.u.): 0.00
E_tot (eV/cell): -429.1

extended XYZ file:
```
28
Lattice="6.7162 0.0000 0.0000 0.0000 5.3655 0.0000 -0.0316 0.0000 11.3178" Properties=species:S:1:pos:R:3 pbc="T T T"
Ta 1.1165 1.3414 4.9412
Ta 2.1881 1.3414 10.6171
Ta 4.4966 4.0241 0.7008
Ta 5.5682 4.0241 6.3767
P 0.1504 4.0241 9.5795
P 3.1516 4.0241 3.9062
P 3.5331 1.3414 7.4117
P 6.5343 1.3414 1.7383
O -0.0158 0.0000 5.6589
O -0.0158 2.6827 5.6589
O 0.1551 1.3414 3.2278
O 0.9392 2.7687 9.8992
O 0.9392 5.2795 9.8992
O 1.1273 1.3414 0.9522
O 2.2709 1.3414 6.5484
O 2.3432 2.7694 4.1775
O 2.3432 5.2788 4.1775
O 3.1025 1.3414 8.8768
O 3.3581 0.0000 0.0000
O 3.3581 2.6827 0.0000
O 3.5821 4.0241 2.4410
O 4.3415 0.0867 7.1403
O 4.3415 2.5960 7.1403
O 4.4138 4.0241 4.7694
O 5.5574 4.0241 10.3656
O 5.7455 0.0859 1.4186
O 5.7455 2.5968 1.4186
O 6.5296 4.0241 8.0900
```

A relaxed structure of Gd3Cu2Te7, computed with r²SCAN.

Computed properties:
ΔH_f (0 K) (eV/atom): -1.05
Magnetization (μB/f.u.): 0.04
E_tot (eV/cell): -684.8

extended XYZ file:
```
24
Lattice="6.2004 0.0000 0.0000 0.0000 9.6542 5.7957 0.0000 -9.6542 5.7957" Properties=species:S:1:pos:R:3 pbc="T T T"
Gd 1.5501 -7.9452 5.7957
Gd 1.5501 -2.7612 2.9761
Gd 1.5501 -2.7540 8.4894
Gd 4.6503 2.7612 2.9761
Gd 4.6503 2.7540 8.4894
Gd 4.6503 7.9452 5.7957
Cu 1.5501 -4.5395 5.7705
Cu 1.5501 4.2521 6.5976
Cu 4.6503 -4.2521 6.5976
Cu 4.6503 4.5395 5.7705
Te 0.0000 0.0000 2.2154
Te 0.0000 0.0000 9.3621
Te 0.0043 -2.3348 5.7441
Te 1.5501 -5.8501 8.0516
Te 1.5501 6.6555 5.7546
Te 1.5501 3.7999 9.2533
Te 3.0959 -2.3348 5.7441
Te 3.1002 0.0000 2.2154
Te 3.1002 0.0000 9.3621
Te 3.1045 2.3348 5.7441
Te 4.6503 -6.6555 5.7546
Te 4.6503 -3.7999 9.2533
Te 4.6503 5.8501 8.0516
Te 6.1961 2.3348 5.7441
```

A relaxed structure of Mn2SbAs, computed with r²SCAN.

Computed properties:
ΔH_f (0 K) (eV/atom): -0.37
Magnetization (μB/f.u.): 7.49
E_tot (eV/cell): -71.3

extended XYZ file:
```
4
Lattice="3.9325 0.0000 0.0000 -1.9662 3.4056 0.0000 0.0000 0.0000 5.8677" Properties=species:S:1:pos:R:3 pbc="T T T"
Mn 0.0000 0.0000 1.3804
Mn 0.0000 0.0000 4.4872
Sb 0.0000 2.2704 2.9338
As 1.9662 1.1352 0.0000
```

A relaxed structure of ErMgTl, computed with r²SCAN.

Computed properties:
ΔH_f (0 K) (eV/atom): -0.40
Magnetization (μB/f.u.): 0.00
E_tot (eV/cell): -277.4

extended XYZ file:
```
9
Lattice="7.4499 0.0000 0.0000 -3.7250 6.4518 0.0000 0.0000 0.0000 4.6045" Properties=species:S:1:pos:R:3 pbc="T T T"
Er -2.1174 3.6675 0.0000
Er 1.6076 2.7844 0.0000
Er 4.2348 0.0000 0.0000
Mg -0.9057 1.5687 2.3022
Mg 1.8113 0.0000 2.3022
Mg 2.8193 4.8832 2.3022
Tl 0.0000 0.0000 0.0000
Tl 0.0000 4.3012 2.3022
Tl 3.7250 2.1506 2.3022
```

A relaxed structure of LiB6C, computed with r²SCAN.

Computed properties:
ΔH_f (0 K) (eV/atom): -0.28
Magnetization (μB/f.u.): 0.00
E_tot (eV/cell): -117.3

extended XYZ file:
```
16
Lattice="4.6922 0.0000 0.0000 0.0000 4.4889 2.8190 0.0000 -4.4889 2.8190" Properties=species:S:1:pos:R:3 pbc="T T T"
Li 0.0000 -2.6353 2.8190
Li 0.0000 2.6353 2.8190
B 0.9085 -0.8793 3.8342
B 0.9085 0.8793 3.8342
B 1.4854 0.0000 2.3883
B 1.4876 0.0000 5.2883
B 2.3461 -2.9673 1.9357
B 2.3461 -1.5185 2.9248
B 2.3461 2.9673 1.9357
B 2.3461 1.5185 2.9248
B 3.2068 0.0000 2.3883
B 3.2046 0.0000 5.2883
B 3.7837 -0.8793 3.8342
B 3.7837 0.8793 3.8342
C 0.6861 0.0000 1.0262
C 4.0061 0.0000 1.0262
```

A relaxed structure of Tb6OsI10, computed with r²SCAN.

Computed properties:
ΔH_f (0 K) (eV/atom): -1.43
Magnetization (μB/f.u.): 2.00
E_tot (eV/cell): -510.3

extended XYZ file:
```
17
Lattice="7.7372 0.0000 0.0000 -2.5078 9.3430 0.0000 -1.1695 -3.3118 9.0493" Properties=species:S:1:pos:R:3 pbc="T T T"
Tb -0.7956 0.6591 3.7755
Tb -0.7831 4.1859 2.3703
Tb 0.4009 3.6504 6.0668
Tb 3.6589 2.3808 2.9825
Tb 4.8429 1.8454 6.6790
Tb 4.8554 5.3722 5.2738
Os -1.8387 3.0156 4.5247
I -1.8808 7.0770 2.8731
I 0.8582 1.7305 1.3425
I -0.5736 2.3146 8.7022
I -0.5599 6.3617 7.0016
I 2.0343 0.9701 5.3590
I 2.0255 5.0611 3.6903
I 4.6197 -0.3305 2.0477
I 4.6334 3.7166 0.3471
I 3.2017 4.3007 7.7068
I 5.9406 -1.0458 6.1762
```

A relaxed structure of SbSeBr, computed with r²SCAN.

Computed properties:
ΔH_f (0 K) (eV/atom): -0.49
Magnetization (μB/f.u.): 0.00
E_tot (eV/cell): -219.0

extended XYZ file:
```
12
Lattice="8.4918 0.0000 0.0000 0.0000 4.0408 0.0000 0.0000 0.0000 10.7135" Properties=species:S:1:pos:R:3 pbc="T T T"
Sb 0.9325 1.0102 1.4254
Sb 3.3134 3.0306 6.7822
Sb 5.1783 1.0102 3.9313
Sb 7.5593 3.0306 9.2880
Se 1.4947 3.0306 10.2933
Se 2.7512 1.0102 4.9366
Se 5.7406 3.0306 5.7769
Se 6.9971 1.0102 0.4201
Br 0.2268 1.0102 7.4583
Br 4.0191 3.0306 2.1016
Br 4.4727 1.0102 8.6119
Br 8.2650 3.0306 3.2552
```

A relaxed structure of La4SiI5, computed with r²SCAN.

Computed properties:
ΔH_f (0 K) (eV/atom): -1.53
Magnetization (μB/f.u.): 0.03
E_tot (eV/cell): -265.8

extended XYZ file:
```
10
Lattice="9.9549 -2.2084 0.0000 9.9549 2.2084 0.0000 -2.0430 0.0000 8.9659" Properties=species:S:1:pos:R:3 pbc="T T T"
La 19.4579 0.0000 1.9469
La -1.5910 0.0000 7.0190
La 5.1067 0.0000 8.2842
La 12.7602 0.0000 0.6816
Si 9.9549 0.0000 0.0000
I 2.6382 0.0000 3.0599
I 1.7356 0.0000 7.3851
I 8.9334 0.0000 4.4829
I 16.1312 0.0000 1.5808
I 15.2287 0.0000 5.9060
```

A relaxed structure of ErGePt, computed with r²SCAN.

Computed properties:
ΔH_f (0 K) (eV/atom): -1.25
Magnetization (μB/f.u.): 0.00
E_tot (eV/cell): -412.1

extended XYZ file:
```
12
Lattice="6.9442 0.0000 0.0000 0.0000 4.3343 0.0000 0.0000 0.0000 7.5339" Properties=species:S:1:pos:R:3 pbc="T T T"
Er 0.0197 1.0836 1.5433
Er 3.4524 3.2507 5.3103
Er 3.4918 1.0836 2.2237
Er 6.9245 3.2507 5.9906
Ge 1.3231 1.0836 4.4348
Ge 2.1490 3.2507 0.6678
Ge 4.7952 1.0836 6.8661
Ge 5.6211 3.2507 3.0991
Pt 1.4291 3.2507 3.1364
Pt 2.0430 1.0836 6.9034
Pt 4.9012 3.2507 0.6305
Pt 5.5151 1.0836 4.3975
```

A relaxed structure of Pr2EuSe4, computed with r²SCAN.

Computed properties:
ΔH_f (0 K) (eV/atom): -2.25
Magnetization (μB/f.u.): 7.00
E_tot (eV/cell): -340.7

extended XYZ file:
```
14
Lattice="-4.5212 4.5212 4.5162 4.5212 -4.5212 4.5162 4.5212 4.5212 -4.5162" Properties=species:S:1:pos:R:3 pbc="T T T"
Pr 6.7818 1.1485 -1.1290
Pr 1.1485 2.2606 1.1290
Pr -2.2606 3.3727 3.3871
Pr 3.3727 2.2606 5.6452
Eu 4.5212 0.0000 2.2581
Eu 0.0000 0.0000 4.5162
Se 1.5830 -0.6773 1.7644
Se 3.8440 1.5830 -0.4937
Se 2.9382 5.1985 -2.7518
Se 2.9382 -0.6773 5.0099
Se 1.5830 5.1985 0.4937
Se 3.8440 2.9382 2.7518
Se 0.6773 2.9382 4.0225
Se 0.6773 1.5830 7.2680
```

A relaxed structure of YbNi2, computed with r²SCAN.

Computed properties:
ΔH_f (0 K) (eV/atom): -0.49
Magnetization (μB/f.u.): 0.00
E_tot (eV/cell): -123.9

extended XYZ file:
```
6
Lattice="0.0000 3.5042 3.5042 3.5042 0.0000 3.5042 3.5042 3.5042 0.0000" Properties=species:S:1:pos:R:3 pbc="T T T"
Yb 0.8761 0.8761 0.8761
Yb 6.1324 6.1324 6.1324
Ni 3.5042 1.7521 1.7521
Ni 1.7521 3.5042 1.7521
Ni 1.7521 1.7521 3.5042
Ni 3.5042 3.5042 3.5042
```

A relaxed structure of Pr2C3, computed with r²SCAN.

Computed properties:
ΔH_f (0 K) (eV/atom): -0.28
Magnetization (μB/f.u.): 0.00
E_tot (eV/cell): -360.3

extended XYZ file:
```
20
Lattice="-4.3479 4.3479 4.3479 4.3479 -4.3479 4.3479 4.3479 4.3479 -4.3479" Properties=species:S:1:pos:R:3 pbc="T T T"
Pr 3.8982 0.4497 -0.4497
Pr 6.0722 -1.7243 1.7243
Pr 0.4497 0.4497 0.4497
Pr 0.4497 -0.4497 3.8982
Pr -0.4497 3.8982 0.4497
Pr 1.7243 6.0722 -1.7243
Pr 2.6236 2.6236 2.6236
Pr -1.7243 1.7243 6.0722
C 6.5218 0.4266 0.0000
C 6.5218 1.7473 0.0000
C 2.6005 0.0000 2.1739
C 3.9213 0.0000 2.1739
C 2.1739 2.6005 0.0000
C 2.1739 3.9213 0.0000
C 0.0000 2.1739 2.6005
C 0.0000 2.1739 3.9213
C 0.4266 0.0000 6.5218
C 1.7473 0.0000 6.5218
C 0.0000 6.5218 0.4266
C 0.0000 6.5218 1.7473
```

A relaxed structure of Tb3Co, computed with r²SCAN.

Computed properties:
ΔH_f (0 K) (eV/atom): -0.08
Magnetization (μB/f.u.): 0.00
E_tot (eV/cell): -428.9

extended XYZ file:
```
16
Lattice="6.8772 0.0000 0.0000 0.0000 9.5243 0.0000 0.0000 0.0000 6.2444" Properties=species:S:1:pos:R:3 pbc="T T T"
Tb 0.3171 2.3811 0.8886
Tb 1.1766 0.6632 4.2426
Tb 1.1766 4.0989 4.2426
Tb 2.2620 5.4253 1.1203
Tb 2.2620 8.8611 1.1203
Tb 3.1215 7.1432 4.0108
Tb 3.7557 2.3811 2.2336
Tb 4.6152 0.6632 5.1241
Tb 4.6152 4.0989 5.1241
Tb 5.7006 5.4253 2.0019
Tb 5.7006 8.8611 2.0019
Tb 6.5600 7.1432 5.3558
Co 0.7653 7.1432 2.8504
Co 2.6733 2.3811 5.9726
Co 4.2039 7.1432 0.2719
Co 6.1119 2.3811 3.3941
```